[1]
The following is a DFT calculation (PBE-GGA) of a relaxed structure of Nb4Co3Si7.

a b c (Å): 12.521 9.397 8.985
angles (deg): 85.84 48.46 45.70
Element x y z (fractional)
1 Nb 0.866 0.866 0.134
2 Nb 0.134 0.134 0.866
3 Nb 0.136 0.864 0.136
4 Nb 0.864 0.136 0.864
5 Nb 0.511 0.686 0.294
6 Nb 0.509 0.294 0.686
7 Nb 0.294 0.509 0.511
8 Nb 0.686 0.511 0.509
9 Co 0.865 0.635 0.865
10 Co 0.635 0.865 0.635
11 Co 0.401 0.099 0.401
12 Co 0.099 0.401 0.099
13 Co 0.099 0.099 0.401
14 Co 0.401 0.401 0.099
15 Si 0.487 0.013 0.013
16 Si 0.013 0.487 0.487
17 Si 0.712 0.712 0.288
18 Si 0.288 0.288 0.712
19 Si 0.293 0.707 0.293
20 Si 0.707 0.293 0.707
21 Si 0.028 0.675 0.264
22 Si 0.033 0.264 0.675
23 Si 0.264 0.033 0.028
24 Si 0.675 0.028 0.033
25 Si 0.253 0.747 0.747
26 Si 0.747 0.253 0.253
27 Si 0.608 0.608 0.892
28 Si 0.892 0.892 0.608

Properties
Total energy after the MP2020 corrections in eV for the cell shown: -211.30
Symmetry: F222
E_form in eV/atom: -0.425

---

[2]
The following is a DFT calculation (PBE-GGA) of a relaxed structure of NbP4O12.

a b c (Å): 8.446 9.752 13.026
angles (deg): 90.00 90.00 90.00
Element x y z (fractional)
1 Nb 0.356 0.750 0.000
2 Nb 0.144 0.250 0.500
3 Nb 0.644 0.250 0.000
4 Nb 0.856 0.750 0.500
5 P 0.470 0.489 0.847
6 P 0.030 0.511 0.347
7 P 0.970 0.489 0.653
8 P 0.322 0.499 0.641
9 P 0.678 0.999 0.641
10 P 0.822 0.499 0.859
11 P 0.178 0.501 0.141
12 P 0.030 0.989 0.653
13 P 0.530 0.989 0.847
14 P 0.178 0.999 0.859
15 P 0.822 0.001 0.141
16 P 0.470 0.011 0.153
17 P 0.678 0.501 0.359
18 P 0.530 0.511 0.153
19 P 0.322 0.001 0.359
20 P 0.970 0.011 0.347
21 O 0.143 0.964 0.318
22 O 0.471 0.374 0.925
23 O 0.607 0.570 0.254
24 O 0.408 0.623 0.610
25 O 0.305 0.375 0.570
26 O 0.195 0.875 0.930
27 O 0.805 0.125 0.070
28 O 0.029 0.874 0.575
29 O 0.357 0.464 0.182
30 O 0.408 0.877 0.390
31 O 0.893 0.430 0.754
32 O 0.592 0.377 0.390
33 O 0.857 0.464 0.318
34 O 0.378 0.616 0.881
35 O 0.092 0.123 0.890
36 O 0.643 0.536 0.818
37 O 0.695 0.625 0.430
38 O 0.393 0.070 0.254
39 O 0.143 0.536 0.682
40 O 0.471 0.126 0.075
41 O 0.878 0.616 0.619
42 O 0.695 0.875 0.570
43 O 0.643 0.964 0.182
44 O 0.857 0.036 0.682
45 O 0.971 0.126 0.425
46 O 0.029 0.626 0.425
47 O 0.529 0.874 0.925
48 O 0.195 0.625 0.070
49 O 0.893 0.070 0.246
50 O 0.908 0.877 0.110
51 O 0.378 0.884 0.119
52 O 0.122 0.384 0.381
53 O 0.908 0.623 0.890
54 O 0.107 0.930 0.754
55 O 0.393 0.430 0.746
56 O 0.357 0.036 0.818
57 O 0.622 0.384 0.119
58 O 0.805 0.375 0.930
59 O 0.122 0.116 0.619
60 O 0.592 0.123 0.610
61 O 0.107 0.570 0.246
62 O 0.305 0.125 0.430
63 O 0.607 0.930 0.746
64 O 0.622 0.116 0.881
65 O 0.529 0.626 0.075
66 O 0.971 0.374 0.575
67 O 0.092 0.377 0.110
68 O 0.878 0.884 0.381

Properties
Total energy after the MP2020 corrections in eV for the cell shown: -541.76
Symmetry: Pbcn
E_form in eV/atom: -2.607
ΔE to the lowest computed polymorph in meV/atom: 0.0